# Eu3Si6N4O9 (PBE-GGA, relaxed)
# Crystal system: trigonal
# E_tot, eV/atom: -8.78
# Mass density, g/cm³: 4.6
# E_form, eV per atom: -2.641
data_Eu3Si6N4O9
_chemical_formula_sum 'Eu3 Si6 N4 O9'
_symmetry_space_group_name_H-M 'P 1'
_symmetry_Int_Tables_number 1
_symmetry_space_group_name_Hall 'P 1'
_cell_length_a 7.1708
_cell_length_b 7.1708
_cell_length_c 6.6600
_cell_angle_alpha 90.00
_cell_angle_beta 90.00
_cell_angle_gamma 120.00
loop_
_atom_site_label
_atom_site_type_symbol
_atom_site_fract_x
_atom_site_fract_y
_atom_site_fract_z
Eu1 Eu 0.0000 0.0000 0.0000
Eu2 Eu 0.3333 0.6667 0.1463
Eu3 Eu 0.6667 0.3333 0.0417
Si1 Si 0.0755 0.6274 0.6886
Si2 Si 0.2625 0.0425 0.4640
Si3 Si 0.3726 0.4481 0.6886
Si4 Si 0.5519 0.9245 0.6886
Si5 Si 0.7800 0.7375 0.4640
Si6 Si 0.9575 0.2200 0.4640
N1 N 0.0383 0.7949 0.5270
N2 N 0.2051 0.2434 0.5270
N3 N 0.3333 0.6667 0.6476
N4 N 0.7566 0.9617 0.5270
O1 O 0.0338 0.6598 0.9223
O2 O 0.3256 0.0386 0.2313
O3 O 0.3402 0.3740 0.9223
O4 O 0.4540 0.0823 0.6272
O5 O 0.6260 0.9662 0.9223
O6 O 0.6283 0.5460 0.6272
O7 O 0.7130 0.6744 0.2313
O8 O 0.9177 0.3717 0.6272
O9 O 0.9614 0.2870 0.2313